Computed, not measured: crystalline LiH2CO3 at its relaxed geometry at the GGA-PBE level of DFT.

The value obtained for the electronic total energy is -5.634 eV/atom. The MP2020-corrected energy comes out at -0.43573 Ry/atom. The volume comes out at 11.5 Å³/atom. The calculation puts the density at 1.42 g/cm3. Its formation energy from the elements is -1.247 eV per atom. The calculation puts the spin magnetization at 4.00 μB/cell.

The space group is Pna2_1 (No. 33) and the conventional cell measures 9.9939, 6.5646 and 4.9025 Å, with angles of 90.00, 90.00 and 90.00 degrees. The inequivalent atoms are Li at (0.0493, 0.1184, 0.0000), H at (0.1292, 0.5986, 0.3845), H at (0.2150, 0.6682, 0.9003), C at (0.1959, 0.1142, 0.5139), O at (0.0332, 0.6074, 0.4508), O at (0.0902, 0.0744, 0.3807) and O at (0.2085, 0.0958, 0.7711).